Record 1
A relaxed V2O5 crystal. Source: the Materials Project database, functional PBE with a Hubbard U.

Computed properties:
Formation energy from the elements ... -1.77 eV per atom
SG ... P1, No. 1

Unit cell a=12.4832 b=12.1394 c=12.3333 alpha=92.73 beta=92.03 gamma=90.13
With the nearest neighbours (Å) after each atom.
Sites, in units of the cell vectors:
O (0.6940, 0.2166, 0.5449)  1 V 1.71
O (0.5356, 0.0751, 0.9493)  1 V 1.60
O (0.7051, 0.6681, 0.7478)  1 V 1.61
O (0.1440, 0.1385, 0.5085)  3 V 1.91-2.11
O (0.2718, 0.7984, 0.6534)  1 V 1.69
O (0.7690, 0.8597, 0.6848)  1 V 1.72
O (0.3743, 0.3896, 0.5883)  2 V 1.80-1.84
O (0.6147, 0.4888, 0.4000)  2 V 1.79-1.81
O (0.5088, 0.6847, 0.4540)  1 V 1.61
O (0.9459, 0.1182, 0.8943)  2 V 1.78-1.82
O (0.5567, 0.1616, 0.7207)  2 V 1.77-1.88
O (0.6415, 0.1593, 0.1320)  2 V 1.78-1.80
O (0.1886, 0.5909, 0.0139)  2 V 1.79-1.82
O (0.6808, 0.7759, 0.9303)  2 V 1.80-1.82
O (0.7868, 0.0407, 0.2620)  1 V 1.61
O (0.7624, 0.3953, 0.6188)  1 V 1.69
O (0.3121, 0.6013, 0.6010)  2 V 1.76-1.95
O (0.2531, 0.3846, 0.9443)  2 V 1.81-1.85
O (0.4366, 0.7295, 0.8008)  1 V 1.68
O (0.3319, 0.5570, 0.1742)  1 V 1.70
O (0.1580, 0.4363, 0.5631)  1 V 1.61
O (0.4648, 0.1625, 0.5030)  2 V 1.74-1.94
O (0.0636, 0.7102, 0.1670)  2 V 1.80-1.86
O (0.0726, 0.2953, 0.0382)  1 V 1.61
O (0.9002, 0.8694, 0.8783)  2 V 1.80-1.86
O (0.3695, 0.9928, 0.7670)  2 V 1.77-1.95
O (0.2689, 0.1105, 0.3630)  2 V 1.75-1.95
O (0.3424, 0.5222, 0.7902)  3 V 1.87-2.03
O (0.5982, 0.9331, 0.1961)  2 V 1.78-1.83
O (0.8538, 0.6025, 0.3592)  1 O 1.34
O (0.0261, 0.9775, 0.4694)  1 V 1.71
O (0.9351, 0.5499, 0.4077)  1 O 1.34
O (0.4575, 0.8350, 0.0013)  2 V 1.79-1.92
O (0.5844, 0.9540, 0.7797)  1 V 1.70
O (0.7167, 0.6644, 0.5372)  2 V 1.78-1.82
O (0.4045, 0.8182, 0.2225)  1 V 1.61
O (0.3782, 0.1801, 0.8507)  2 V 1.82-1.83
O (0.1793, 0.0205, 0.6741)  1 V 1.77
O (0.9178, 0.1520, 0.5746)  2 V 1.78-1.90
O (0.7745, 0.2559, 0.9774)  2 V 1.80-1.82
O (0.2268, 0.8905, 0.0701)  1 V 1.63
O (0.9496, 0.8057, 0.3268)  1 V 1.73
O (0.9847, 0.9945, 0.7197)  1 V 1.75
O (0.1414, 0.5028, 0.2134)  1 V 1.66
O (0.7608, 0.9740, 0.0401)  2 V 1.79-1.82
O (0.7657, 0.0952, 0.7675)  2 V 1.80-1.89
O (0.4482, 0.3923, 0.2540)  2 V 1.79
O (0.8499, 0.7711, 0.0791)  1 V 1.60
O (0.2250, 0.1291, 0.0279)  2 V 1.81-1.86
O (0.1628, 0.2098, 0.8188)  1 V 1.63
O (0.5666, 0.7013, 0.1015)  2 V 1.82-1.84
O (0.0963, 0.7074, 0.4194)  2 V 1.81-1.87
O (0.0501, 0.1380, 0.2960)  1 V 1.60
O (0.9556, 0.3661, 0.5985)  1 V 1.72
O (0.1365, 0.9268, 0.2957)  2 V 1.79-1.85
O (0.1392, 0.9594, 0.8657)  2 V 1.83-1.84
O (0.6031, 0.2657, 0.3416)  1 V 1.61
O (0.5389, 0.5461, 0.6253)  2 V 1.79-1.82
O (0.3383, 0.9815, 0.5328)  2 V 1.73-1.92
O (0.0260, 0.9826, 0.0270)  1 V 1.72
O (0.8750, 0.3382, 0.8008)  2 V 1.83
O (0.8844, 0.5822, 0.6894)  2 V 1.80-1.88
O (0.6314, 0.0082, 0.5752)  2 V 1.79-1.83
O (0.1079, 0.4884, 0.8201)  1 V 1.61
O (0.2588, 0.3239, 0.1602)  2 V 1.77-1.84
O (0.2243, 0.6816, 0.8342)  1 V 1.68
O (0.6667, 0.3891, 0.1723)  2 V 1.80-1.83
O (0.5567, 0.3041, 0.9868)  1 V 1.61
O (0.5367, 0.5880, 0.9128)  1 V 1.63
O (0.5163, 0.3742, 0.7611)  1 V 1.61
O (0.8503, 0.2853, 0.4074)  1 V 1.60
O (0.9133, 0.7571, 0.5544)  1 V 1.69
O (0.2963, 0.2001, 0.6429)  1 V 1.73
O (0.2296, 0.7171, 0.2719)  2 V 1.77-1.90
O (0.2840, 0.4599, 0.3797)  2 V 1.79-1.83
V (0.5007, 0.8302, 0.1406)  2 O 1.61-1.79
V (0.6620, 0.2822, 0.0621)  3 O 1.61-1.80
V (0.5498, 0.7168, 0.9544)  1 O 1.63
V (0.8387, 0.2058, 0.8548)  4 O 1.78-1.89
V (0.2186, 0.5157, 0.8876)  1 O 1.61
V (0.9937, 0.9796, 0.8605)  4 O 1.75-1.83
V (0.3121, 0.1321, 0.4985)  4 O 1.75-1.94
V (0.1814, 0.6166, 0.1578)  2 O 1.66-1.79
V (0.7910, 0.6996, 0.6597)  2 O 1.61-1.78
V (0.3127, 0.4381, 0.2392)  4 O 1.70-1.79
V (0.3211, 0.6791, 0.7433)  2 O 1.68
V (0.8419, 0.2679, 0.5348)  2 O 1.60-1.78
V (0.1994, 0.2761, 0.0277)  1 O 1.61
V (0.9521, 0.7137, 0.4301)  3 O 1.69-1.81
V (0.4877, 0.0845, 0.8276)  1 O 1.60
V (0.1210, 0.0605, 0.3710)  1 O 1.60
V (0.5880, 0.3852, 0.2918)  3 O 1.61-1.80
V (0.4459, 0.4631, 0.6981)  2 O 1.61-1.80
V (0.0383, 0.0572, 0.5870)  2 O 1.71-1.90
V (0.2729, 0.4797, 0.5266)  2 O 1.61-1.76
V (0.5827, 0.1468, 0.5804)  4 O 1.71-1.79
V (0.8016, 0.8431, 0.9835)  2 O 1.60-1.79
V (0.6945, 0.9776, 0.7066)  4 O 1.70-1.83
V (0.5901, 0.5947, 0.5024)  3 O 1.61-1.79
V (0.6993, 0.0280, 0.1633)  2 O 1.61-1.78
V (0.2614, 0.1427, 0.7626)  2 O 1.63-1.73
V (0.1627, 0.9899, 0.0125)  2 O 1.63-1.72
V (0.1049, 0.7831, 0.2917)  4 O 1.77-1.87
V (0.8756, 0.4339, 0.6902)  4 O 1.69-1.83
V (0.2932, 0.9357, 0.6544)  4 O 1.69-1.77

Record 2
A relaxed VO2 crystal. Source: the Materials Project database, functional PBE with a Hubbard U.

Computed properties:
Formation energy from the elements ... -2.21 eV per atom
SG ... R-3m, No. 166

Unit cell a=5.1501 b=5.1501 c=5.1501 alpha=33.75 beta=33.75 gamma=33.75
With the nearest neighbours (Å) after each atom.
Sites, in units of the cell vectors:
V (0.5000, 0.5000, 0.5000)  6 O 1.97
O (0.2320, 0.2320, 0.2320)  3 V 1.97
O (0.7680, 0.7680, 0.7680)  3 V 1.97

Record 3
A relaxed VO2 crystal. Source: the Materials Project database, functional PBE with a Hubbard U.

Computed properties:
Formation energy from the elements ... -2.42 eV per atom
SG ... P1, No. 1

Unit cell a=5.0193 b=9.1506 c=4.9951 alpha=90.63 beta=111.12 gamma=92.22
With the nearest neighbours (Å) after each atom.
Sites, in units of the cell vectors:
O (0.7987, 0.6159, 0.8013)  3 V 1.96-1.98
O (0.5765, 0.6417, 0.2594)  2 V 1.85-1.91
O (0.6840, 0.8831, 0.7157)  3 V 1.94-1.99
O (0.4169, 0.3583, 0.7467)  2 V 1.85-1.92
O (0.7313, 0.3596, 0.3882)  3 V 1.90-1.99
O (0.1927, 0.3839, 0.2043)  3 V 1.96-1.97
O (0.0871, 0.1446, 0.7484)  2 V 1.80-1.99
O (0.2624, 0.6399, 0.6190)  3 V 1.90-1.99
O (0.2239, 0.8633, 0.9018)  3 V 1.90-2.01
O (0.7700, 0.1365, 0.1044)  3 V 1.91-2.02
O (0.9075, 0.8553, 0.2586)  2 V 1.80-2.00
O (0.3107, 0.1171, 0.2917)  3 V 1.95-1.99
V (0.4387, 0.2615, 0.0756)  5 O 1.85-2.02
V (0.9978, 0.0002, 0.0035)  6 O 1.90-2.00
V (0.9304, 0.7606, 0.5793)  5 O 1.80-1.99
V (0.0628, 0.2392, 0.4266)  5 O 1.80-1.99
V (0.4964, 0.5001, 0.5024)  6 O 1.91-1.99
V (0.5548, 0.7392, 0.9303)  5 O 1.85-2.01

Record 4
A relaxed V2O5 crystal. Source: the Materials Project database, functional PBE with a Hubbard U.

Computed properties:
Formation energy from the elements ... -1.78 eV per atom
SG ... P1, No. 1

Unit cell a=11.6955 b=12.6759 c=12.3158 alpha=93.24 beta=92.05 gamma=89.26
With the nearest neighbours (Å) after each atom.
Sites, in units of the cell vectors:
O (0.1690, 0.1941, 0.9127)  1 V 1.61
O (0.2971, 0.7862, 0.3285)  1 V 1.83
O (0.2773, 0.9952, 0.9556)  2 V 1.78-1.85
O (0.7362, 0.3837, 0.7199)  2 V 1.77-1.91
O (0.3192, 0.5115, 0.9314)  1 V 1.70
O (0.5680, 0.5881, 0.2882)  1 V 1.64
O (0.3434, 0.8509, 0.1272)  1 V 1.61
O (0.2637, 0.5687, 0.3451)  2 V 1.75-1.83
O (0.7996, 0.8539, 0.6730)  2 V 1.75-1.91
O (0.6774, 0.4553, 0.5180)  1 V 1.62
O (0.0000, 0.9054, 0.5785)  1 V 1.62
O (0.6884, 0.7203, 0.4627)  1 V 1.71
O (0.6235, 0.8761, 0.0504)  1 V 1.61
O (0.5200, 0.4839, 0.6848)  2 V 1.75-1.90
O (0.5165, 0.7978, 0.2683)  2 V 1.77-1.90
O (0.0890, 0.7055, 0.4426)  1 V 1.60
O (0.8275, 0.0085, 0.8497)  1 V 1.61
O (0.6369, 0.0154, 0.5263)  2 V 1.79-1.83
O (0.3548, 0.2395, 0.0632)  2 V 1.76-1.83
O (0.9866, 0.1425, 0.5029)  2 V 1.73-1.94
O (0.5299, 0.1307, 0.3587)  1 V 1.66
O (0.2552, 0.4103, 0.1875)  1 V 1.72
O (0.1071, 0.3081, 0.6200)  1 O 1.43
O (0.4208, 0.6522, 0.5044)  1 V 1.62
O (0.6718, 0.6909, 0.9280)  2 V 1.76-1.92
O (0.8366, 0.5375, 0.9151)  2 V 1.76-1.89
O (0.6861, 0.3850, 0.9339)  1 V 1.69
O (0.0687, 0.5926, 0.8645)  2 V 1.72-1.91
O (0.0086, 0.0852, 0.7461)  2 V 1.81-1.83
O (0.7800, 0.1304, 0.3707)  2 V 1.81
O (0.6799, 0.5447, 0.0833)  1 V 1.59
O (0.1824, 0.1239, 0.1115)  1 V 1.70
O (0.1963, 0.0971, 0.6154)  1 V 1.61
O (0.5971, 0.8213, 0.6308)  1 V 1.69
O (0.0555, 0.4964, 0.2869)  1 V 1.73
O (0.3784, 0.2656, 0.5300)  2 V 1.75-1.91
O (0.1090, 0.2730, 0.7288)  1 O 1.43
O (0.5272, 0.5286, 0.9075)  2 V 1.88-1.99
O (0.4551, 0.8339, 0.8874)  2 V 1.79-1.84
O (0.3425, 0.6069, 0.7454)  1 V 1.61
O (0.1688, 0.9089, 0.4348)  2 V 1.77-1.85
O (0.3400, 0.0043, 0.3306)  1 V 1.61
O (0.0842, 0.5260, 0.0779)  1 O 1.47
O (0.3191, 0.3930, 0.7229)  1 V 1.74
O (0.9893, 0.8353, 0.2849)  2 V 1.80-1.87
O (0.4546, 0.4360, 0.4357)  2 V 1.77-1.88
O (0.6341, 0.1564, 0.9044)  1 V 1.68
O (0.8918, 0.7057, 0.5734)  2 V 1.79-1.86
O (0.1092, 0.9026, 0.1219)  1 V 1.61
O (0.9689, 0.4906, 0.0998)  1 O 1.47
O (0.9432, 0.2963, 0.3525)  1 V 1.69
O (0.0011, 0.3835, 0.8948)  1 V 1.60
O (0.7104, 0.6248, 0.6715)  2 V 1.73-1.91
O (0.2119, 0.7691, 0.9219)  2 V 1.75-1.88
O (0.2757, 0.8944, 0.7542)  1 V 1.61
O (0.9940, 0.1035, 0.2588)  2 V 1.79-1.85
O (0.9660, 0.1059, 0.0087)  2 V 1.75-1.89
O (0.4431, 0.2942, 0.2788)  2 V 1.74-1.88
O (0.8277, 0.4355, 0.2399)  1 V 1.62
O (0.0177, 0.2840, 0.1464)  2 V 1.73-1.93
O (0.0203, 0.7928, 0.7830)  2 V 1.73-1.87
O (0.3216, 0.6163, 0.1470)  3 V 1.96-2.02
O (0.4680, 0.4333, 0.1049)  2 V 1.73-1.90
O (0.4833, 0.6959, 0.0644)  3 V 1.85-2.00
O (0.8384, 0.2208, 0.8351)  2 V 1.73-1.90
O (0.7422, 0.7115, 0.2357)  1 V 1.64
O (0.5535, 0.2517, 0.7452)  1 V 1.73
O (0.6194, 0.2487, 0.5051)  1 V 1.72
O (0.1313, 0.7079, 0.2110)  2 V 1.80-2.00
O (0.9865, 0.7480, 0.0106)  2 V 1.78-1.87
O (0.1872, 0.3322, 0.4454)  1 V 1.63
O (0.4153, 0.9225, 0.5301)  2 V 1.75-1.85
O (0.2619, 0.4984, 0.5577)  2 V 1.79-1.82
O (0.3907, 0.1475, 0.8744)  2 V 1.73-1.89
O (0.5282, 0.0181, 0.7276)  2 V 1.75-1.85
V (0.3169, 0.9106, 0.4092)  2 O 1.61-1.77
V (0.9609, 0.4006, 0.2370)  2 O 1.62-1.73
V (0.5226, 0.1414, 0.8147)  4 O 1.68-1.85
V (0.7372, 0.7315, 0.5955)  4 O 1.71-1.91
V (0.5440, 0.9420, 0.6056)  4 O 1.69-1.79
V (0.3593, 0.5429, 0.4617)  3 O 1.62-1.79
V (0.1942, 0.5508, 0.2172)  2 O 1.75-1.93
V (0.0412, 0.1497, 0.1279)  4 O 1.70-1.85
V (0.3941, 0.7522, 0.1910)  2 O 1.61-1.77
V (0.6631, 0.4814, 0.6469)  3 O 1.62-1.77
V (0.6327, 0.7016, 0.3137)  2 O 1.64
V (0.0718, 0.7268, 0.8942)  4 O 1.72-1.78
V (0.3081, 0.8756, 0.8798)  3 O 1.61-1.79
V (0.1225, 0.7878, 0.3557)  1 O 1.60
V (0.9288, 0.1671, 0.3751)  4 O 1.69-1.81
V (0.5661, 0.7794, 0.9784)  2 O 1.61-1.76
V (0.9144, 0.1063, 0.8614)  2 O 1.61-1.73
V (0.4753, 0.2887, 0.4287)  3 O 1.75-1.88
V (0.6461, 0.1278, 0.4400)  4 O 1.66-1.83
V (0.6813, 0.5430, 0.9538)  1 O 1.59
V (0.4188, 0.5521, 0.0277)  2 O 1.70-1.90
V (0.0355, 0.8013, 0.1490)  3 O 1.61-1.80
V (0.3807, 0.3437, 0.1610)  4 O 1.72-1.76
V (0.2749, 0.1411, 0.9774)  1 O 1.61
V (0.0746, 0.1530, 0.6396)  1 O 1.61
V (0.6951, 0.2922, 0.8302)  1 O 1.69
V (0.9432, 0.8194, 0.6517)  3 O 1.62-1.79
V (0.3981, 0.4972, 0.7834)  2 O 1.61-1.74
V (0.9796, 0.5008, 0.9451)  2 O 1.60-1.76
V (0.2515, 0.3556, 0.5640)  2 O 1.63-1.82

Record 5
A relaxed VO2 crystal. Source: the Materials Project database, functional PBE with a Hubbard U.

Computed properties:
Formation energy from the elements ... -2.34 eV per atom
SG ... C2/m, No. 12

Unit cell a=2.9432 b=2.9432 c=5.0480 alpha=74.78 beta=74.78 gamma=62.81
With the nearest neighbours (Å) after each atom.
Sites, in units of the cell vectors:
V (0.0000, 0.0000, 0.0000)  6 O 1.89-2.02
O (0.2617, 0.2617, 0.2011)  3 V 1.89-2.02
O (0.7383, 0.7383, 0.7989)  3 V 1.89-2.02

Record 6
A relaxed V6O13 crystal. Source: the Materials Project database, functional PBE with a Hubbard U.

Computed properties:
Formation energy from the elements ... -2.39 eV per atom
Excess energy over the best structure of this formula in the dataset ... 0 meV/atom
SG ... P2_1, No. 4

Unit cell a=3.7432 b=10.3004 c=12.1598 alpha=100.85 beta=90.00 gamma=90.00
With the nearest neighbours (Å) after each atom.
Sites, in units of the cell vectors:
O (0.9997, 0.4090, 0.5601)  1 V 1.76
O (0.5060, 0.8021, 0.1144)  1 V 1.68
O (0.4997, 0.5910, 0.9399)  1 V 1.76
O (0.9943, 0.8021, 0.6131)  1 V 1.68
O (0.0076, 0.8019, 0.3224)  1 V 1.70
O (0.4968, 0.6154, 0.6198)  3 V 1.93-2.00
O (0.5011, 0.9996, 0.0043)  2 V 1.73-1.88
O (0.4966, 0.4104, 0.7535)  3 V 1.97-2.08
O (0.9966, 0.5896, 0.7465)  3 V 1.97-2.08
O (0.5075, 0.9995, 0.3165)  3 V 1.92-2.06
O (0.9921, 0.0004, 0.8217)  3 V 1.90-2.09
O (0.0033, 0.6148, 0.1199)  3 V 1.93-1.99
O (0.4943, 0.1979, 0.8869)  1 V 1.68
O (0.0035, 0.4106, 0.2535)  3 V 1.97-2.08
O (0.0011, 0.0004, 0.4957)  2 V 1.73-1.88
O (0.4928, 0.8016, 0.8237)  1 V 1.69
O (0.4921, 0.9996, 0.6783)  3 V 1.90-2.09
O (0.0004, 0.5910, 0.4395)  1 V 1.77
O (0.5035, 0.5894, 0.2465)  3 V 1.97-2.08
O (0.9968, 0.3846, 0.8802)  3 V 1.93-2.00
O (0.5033, 0.3853, 0.3801)  3 V 1.93-1.99
O (0.5004, 0.4090, 0.0605)  1 V 1.77
O (0.0075, 0.0005, 0.1835)  3 V 1.92-2.06
O (0.5076, 0.1981, 0.1776)  1 V 1.70
O (0.0060, 0.1979, 0.3856)  1 V 1.68
O (0.9928, 0.1984, 0.6763)  1 V 1.69
V (0.0031, 0.3639, 0.4127)  2 O 1.68-1.76
V (0.5082, 0.0017, 0.1471)  3 O 1.73-1.93
V (0.4972, 0.3639, 0.9130)  2 O 1.68-1.77
V (0.4966, 0.6349, 0.7866)  1 O 1.69
V (0.9899, 0.0008, 0.6502)  6 O 1.88-2.09
V (0.9971, 0.6361, 0.5870)  2 O 1.68-1.77
V (0.9966, 0.3651, 0.7134)  1 O 1.69
V (0.0082, 0.9984, 0.3530)  3 O 1.73-1.93
V (0.5031, 0.6361, 0.0873)  2 O 1.68-1.76
V (0.4900, 0.9992, 0.8498)  6 O 1.88-2.09
V (0.5035, 0.3653, 0.2137)  1 O 1.70
V (0.0035, 0.6347, 0.2863)  1 O 1.70